DFT (GGA+U) results for an optimized crystal structure of Li4Cr3Ni3Sn2O16.

The structure in CIF format:
```
data_Li4Cr3Ni3Sn2O16
_symmetry_space_group_name_H-M 'C 1 m 1'
_symmetry_Int_Tables_number 8
_cell_length_a 10.220
_cell_length_b 5.913
_cell_length_c 9.640
_cell_angle_alpha 90.00
_cell_angle_beta 90.80
_cell_angle_gamma 90.00
loop_
_symmetry_equiv_pos_as_xyz
'x,y,z'
'x,-y,z'
'x+1/2,y+1/2,z'
'x+1/2,-y+1/2,z'
loop_
_atom_site_label
_atom_site_type_symbol
_atom_site_fract_x
_atom_site_fract_y
_atom_site_fract_z
Li1 Li 0.000 0.000 0.000
Li2 Li 0.001 0.000 0.499
Li3 Li 0.165 0.500 0.599
Li4 Li 0.333 0.000 0.103
Cr1 Cr 0.328 0.500 0.275
Cr2 Cr 0.411 0.246 0.777
Ni1 Ni 0.084 0.254 0.280
Ni2 Ni 0.168 0.000 0.781
Sn1 Sn 0.162 0.500 0.002
Sn2 Sn 0.332 0.000 0.498
O1 O 0.017 0.500 0.160
O2 O 0.073 0.242 0.894
O3 O 0.157 0.000 0.393
O4 O 0.176 0.500 0.386
O5 O 0.246 0.278 0.155
O6 O 0.263 0.230 0.657
O7 O 0.337 0.500 0.893
O8 O 0.348 0.000 0.887
O9 O 0.416 0.264 0.394
O10 O 0.482 0.000 0.656
O11 O 0.489 0.500 0.687
O12 O 0.492 0.500 0.189
```

Summary:
* total moment: 10.000 μB/f.u.
* energy: -6.041 eV/atom
* total energy after the MP2020 corrections: -6.920 eV per atom
* calculated formation energy: -1.880 eV per atom